A geometry-optimized CsCrMo2O8 structure, computed with PBE+U. Values from VASP.

Structure (Quantum ESPRESSO input):
```
&SYSTEM
  ibrav = 0, nat = 24, ntyp = 4
/
ATOMIC_SPECIES
Cs 132.91 Cs.upf
Cr 52.00 Cr.upf
Mo 95.94 Mo.upf
O 16.00 O.upf
ATOMIC_POSITIONS crystal
Cs 0.000 0.000 0.000
Cs 0.000 0.000 0.500
Cr 0.000 0.000 0.250
Cr 0.000 0.000 0.750
Mo 0.333 0.333 0.854
Mo 0.667 0.667 0.146
Mo 0.666 0.667 0.646
Mo 0.334 0.333 0.354
O 0.333 0.333 0.461
O 0.333 0.333 0.961
O 0.667 0.667 0.039
O 0.667 0.667 0.540
O 0.161 0.678 0.321
O 0.161 0.678 0.822
O 0.839 0.322 0.178
O 0.839 0.322 0.679
O 0.678 0.161 0.321
O 0.678 0.161 0.822
O 0.322 0.839 0.178
O 0.322 0.839 0.679
O 0.161 0.161 0.321
O 0.161 0.161 0.822
O 0.839 0.839 0.178
O 0.839 0.839 0.679
CELL_PARAMETERS angstrom
-2.888 -5.003 0.000
-5.776 0.000 0.000
0.000 0.000 -16.504
```

The total energy is -6.992 eV per atom. As for the formation enthalpy at 0 K: -2.164 eV per atom.

---

A geometry-optimized Cs2CrO4 structure, computed with PBE+U. Values from VASP.

Structure (Quantum ESPRESSO input):
```
&SYSTEM
  ibrav = 0, nat = 28, ntyp = 3
/
ATOMIC_SPECIES
Cs 132.91 Cs.upf
Cr 52.00 Cr.upf
O 16.00 O.upf
ATOMIC_POSITIONS crystal
Cs 0.250 0.511 0.696
Cs 0.750 0.989 0.196
Cs 0.750 0.489 0.304
Cs 0.250 0.011 0.804
Cs 0.750 0.671 0.914
Cs 0.250 0.329 0.086
Cs 0.750 0.171 0.586
Cs 0.250 0.829 0.414
Cr 0.750 0.734 0.580
Cr 0.250 0.267 0.420
Cr 0.750 0.233 0.920
Cr 0.250 0.766 0.080
O 0.750 0.540 0.585
O 0.250 0.461 0.415
O 0.250 0.960 0.085
O 0.750 0.039 0.915
O 0.750 0.794 0.441
O 0.250 0.706 0.941
O 0.250 0.207 0.559
O 0.750 0.293 0.059
O 0.037 0.698 0.146
O 0.537 0.301 0.854
O 0.963 0.301 0.854
O 0.037 0.199 0.354
O 0.463 0.199 0.354
O 0.463 0.698 0.146
O 0.963 0.802 0.646
O 0.537 0.802 0.646
CELL_PARAMETERS angstrom
-6.211 -1.419 -0.870
-0.311 -3.453 7.851
-2.941 10.175 4.356
```

The total energy is -5.855 eV per atom. As for the formation enthalpy at 0 K: -2.071 eV per atom.

---

A geometry-optimized Cs2Cr4O13 structure, computed with PBE+U. Values from VASP.

Structure (Quantum ESPRESSO input):
```
&SYSTEM
  ibrav = 0, nat = 76, ntyp = 3
/
ATOMIC_SPECIES
Cs 132.91 Cs.upf
Cr 52.00 Cr.upf
O 16.00 O.upf
ATOMIC_POSITIONS crystal
Cs 0.264 0.902 0.499
Cs 0.764 0.098 0.001
Cs 0.736 0.098 0.501
Cs 0.236 0.902 0.999
Cs 0.401 0.409 0.909
Cs 0.901 0.591 0.591
Cs 0.599 0.591 0.091
Cs 0.099 0.409 0.409
Cr 0.924 0.058 0.696
Cr 0.424 0.942 0.804
Cr 0.076 0.942 0.304
Cr 0.576 0.058 0.196
Cr 0.053 0.783 0.856
Cr 0.553 0.217 0.644
Cr 0.947 0.217 0.144
Cr 0.447 0.783 0.356
Cr 0.107 0.449 0.807
Cr 0.607 0.551 0.693
Cr 0.893 0.551 0.193
Cr 0.393 0.449 0.307
Cr 0.224 0.388 0.042
Cr 0.724 0.612 0.458
Cr 0.776 0.612 0.958
Cr 0.276 0.388 0.542
O 0.876 0.128 0.778
O 0.376 0.872 0.722
O 0.124 0.872 0.222
O 0.624 0.128 0.278
O 0.966 0.242 0.566
O 0.466 0.758 0.934
O 0.034 0.758 0.434
O 0.534 0.242 0.066
O 0.886 0.962 0.618
O 0.386 0.038 0.882
O 0.114 0.038 0.382
O 0.614 0.962 0.118
O 0.978 0.869 0.844
O 0.478 0.131 0.656
O 0.022 0.131 0.156
O 0.522 0.869 0.344
O 0.082 0.707 0.023
O 0.582 0.293 0.477
O 0.049 0.584 0.833
O 0.918 0.293 0.977
O 0.097 0.947 0.725
O 0.597 0.053 0.775
O 0.903 0.053 0.275
O 0.403 0.947 0.225
O 0.297 0.416 0.679
O 0.797 0.584 0.821
O 0.703 0.584 0.321
O 0.203 0.416 0.179
O 0.245 0.589 0.400
O 0.745 0.411 0.100
O 0.755 0.411 0.600
O 0.255 0.589 0.900
O 0.226 0.208 0.606
O 0.726 0.792 0.894
O 0.774 0.792 0.394
O 0.274 0.208 0.106
O 0.346 0.326 0.470
O 0.846 0.674 0.030
O 0.654 0.674 0.530
O 0.154 0.326 0.970
O 0.427 0.296 0.280
O 0.927 0.704 0.220
O 0.573 0.704 0.720
O 0.073 0.296 0.780
O 0.350 0.593 0.160
O 0.850 0.407 0.340
O 0.650 0.407 0.840
O 0.150 0.593 0.660
O 0.451 0.584 0.333
O 0.951 0.416 0.167
O 0.549 0.416 0.667
O 0.418 0.707 0.523
CELL_PARAMETERS angstrom
21.284 0.000 0.000
0.000 8.225 0.000
0.000 5.666 8.624
```

The total energy is -6.393 eV per atom. As for the formation enthalpy at 0 K: -1.772 eV per atom.

---

A geometry-optimized CsCrP2O7 structure, computed with PBE+U. Values from VASP.

Structure (Quantum ESPRESSO input):
```
&SYSTEM
  ibrav = 0, nat = 44, ntyp = 4
/
ATOMIC_SPECIES
Cs 132.91 Cs.upf
Cr 52.00 Cr.upf
P 30.97 P.upf
O 16.00 O.upf
ATOMIC_POSITIONS crystal
Cs 0.206 0.801 0.039
Cs 0.794 0.199 0.961
Cs 0.294 0.801 0.539
Cs 0.706 0.199 0.461
Cr 0.398 0.242 0.742
Cr 0.898 0.758 0.758
Cr 0.602 0.758 0.258
Cr 0.102 0.242 0.242
P 0.596 0.872 0.833
P 0.904 0.872 0.333
P 0.126 0.422 0.818
P 0.404 0.128 0.167
P 0.374 0.422 0.318
P 0.874 0.578 0.182
P 0.626 0.578 0.682
P 0.096 0.128 0.667
O 0.933 0.391 0.232
O 0.046 0.312 0.706
O 0.727 0.566 0.236
O 0.567 0.391 0.732
O 0.101 0.320 0.994
O 0.584 0.845 0.015
O 0.899 0.680 0.006
O 0.601 0.680 0.506
O 0.005 0.981 0.767
O 0.773 0.566 0.736
O 0.738 0.908 0.765
O 0.084 0.155 0.485
O 0.262 0.092 0.235
O 0.067 0.609 0.768
O 0.399 0.320 0.494
O 0.954 0.688 0.294
O 0.454 0.312 0.206
O 0.995 0.019 0.233
O 0.505 0.019 0.733
O 0.227 0.434 0.264
O 0.546 0.688 0.794
O 0.433 0.609 0.268
O 0.238 0.092 0.735
O 0.495 0.981 0.267
O 0.416 0.155 0.985
O 0.916 0.845 0.515
O 0.762 0.908 0.265
O 0.273 0.434 0.764
CELL_PARAMETERS angstrom
10.059 0.000 0.000
0.000 7.794 0.000
0.000 2.201 8.172
```

The total energy is -7.143 eV per atom. As for the formation enthalpy at 0 K: -2.670 eV per atom.

---

A geometry-optimized CsUCrO6 structure, computed with PBE+U. Values from VASP.

Structure (Quantum ESPRESSO input):
```
&SYSTEM
  ibrav = 0, nat = 36, ntyp = 4
/
ATOMIC_SPECIES
Cs 132.91 Cs.upf
U 238.03 U.upf
Cr 52.00 Cr.upf
O 16.00 O.upf
ATOMIC_POSITIONS crystal
Cs 0.262 0.038 0.133
Cs 0.238 0.038 0.633
Cs 0.738 0.962 0.867
Cs 0.762 0.962 0.367
U 0.482 0.489 0.323
U 0.518 0.511 0.677
U 0.982 0.511 0.177
U 0.018 0.489 0.823
Cr 0.357 0.603 0.943
Cr 0.857 0.397 0.557
Cr 0.643 0.397 0.057
Cr 0.143 0.603 0.443
O 0.946 0.759 0.122
O 0.440 0.467 0.105
O 0.289 0.565 0.788
O 0.843 0.474 0.993
O 0.480 0.263 0.737
O 0.060 0.467 0.605
O 0.711 0.435 0.212
O 0.789 0.435 0.712
O 0.554 0.759 0.622
O 0.633 0.179 0.072
O 0.157 0.526 0.007
O 0.133 0.821 0.428
O 0.211 0.565 0.288
O 0.054 0.241 0.878
O 0.367 0.821 0.928
O 0.657 0.474 0.493
O 0.343 0.526 0.507
O 0.446 0.241 0.378
O 0.940 0.533 0.395
O 0.560 0.533 0.895
O 0.980 0.737 0.763
O 0.867 0.179 0.572
O 0.020 0.263 0.237
O 0.520 0.737 0.263
CELL_PARAMETERS angstrom
-6.855 -4.433 -2.151
3.151 -1.615 -6.715
5.389 -9.053 1.485
```

The total energy is -7.828 eV per atom. As for the formation enthalpy at 0 K: -2.783 eV per atom.

---

A geometry-optimized KCrCuF6 structure, computed with PBE+U. Values from VASP.

Structure (Quantum ESPRESSO input):
```
&SYSTEM
  ibrav = 0, nat = 36, ntyp = 4
/
ATOMIC_SPECIES
K 39.10 K.upf
Cr 52.00 Cr.upf
Cu 63.55 Cu.upf
F 19.00 F.upf
ATOMIC_POSITIONS crystal
K 0.115 0.502 0.243
K 0.615 0.998 0.757
K 0.885 0.498 0.757
K 0.385 0.002 0.243
Cr 0.000 0.000 0.500
Cr 0.500 0.500 0.500
Cr 0.000 0.000 0.000
Cr 0.500 0.500 0.000
Cu 0.733 0.181 0.255
Cu 0.233 0.319 0.745
Cu 0.267 0.819 0.745
Cu 0.767 0.681 0.255
F 0.835 0.135 0.973
F 0.335 0.365 0.027
F 0.165 0.865 0.027
F 0.665 0.635 0.973
F 0.181 0.901 0.512
F 0.681 0.599 0.488
F 0.819 0.099 0.488
F 0.319 0.401 0.512
F 0.670 0.920 0.244
F 0.170 0.580 0.756
F 0.330 0.080 0.756
F 0.830 0.420 0.244
F 0.977 0.913 0.755
F 0.477 0.587 0.245
F 0.023 0.087 0.245
F 0.523 0.413 0.755
F 0.911 0.756 0.077
F 0.411 0.744 0.923
F 0.089 0.244 0.923
F 0.589 0.256 0.077
F 0.442 0.757 0.554
F 0.942 0.743 0.446
F 0.558 0.243 0.446
F 0.058 0.257 0.554
CELL_PARAMETERS angstrom
10.188 0.000 0.000
0.000 6.845 0.000
0.000 0.534 7.410
```

The total energy is -5.071 eV per atom. As for the formation enthalpy at 0 K: -2.673 eV per atom.